No. 1
This record from the Materials Project database describes an optimized crystal structure of NdEuHfCrO6. The functional is GGA+U.

The structure in POSCAR format:
```
NdEuHfCrO6
1.0
0.000 4.003 4.003
4.003 0.000 4.003
4.003 4.003 0.000
Nd Eu Hf Cr O
1 1 1 1 6
Direct
0.000 0.000 0.000
0.500 0.500 0.500
0.250 0.250 0.250
0.750 0.750 0.750
0.504 0.504 0.996
0.504 0.996 0.504
0.504 0.996 0.996
0.996 0.504 0.504
0.996 0.504 0.996
0.996 0.996 0.504
```

Symmetry: No. 216
Magnetic moment, μB per cell: 10.00



No. 2
This record from the Materials Project database describes an optimized crystal structure of LiFeF4. The functional is GGA+U.

The structure in POSCAR format:
```
LiFeF4
1.0
7.480 0.000 0.000
0.000 5.081 0.000
-1.472 0.000 7.225
Li Fe F
4 4 16
Direct
0.145 0.241 0.341
0.145 0.259 0.841
0.855 0.741 0.159
0.855 0.759 0.659
0.317 0.743 0.182
0.317 0.757 0.682
0.683 0.243 0.318
0.683 0.257 0.818
0.092 0.585 0.696
0.092 0.915 0.196
0.198 0.071 0.588
0.198 0.429 0.088
0.315 0.596 0.437
0.315 0.904 0.937
0.441 0.069 0.301
0.441 0.431 0.801
0.559 0.569 0.199
0.559 0.931 0.699
0.685 0.096 0.063
0.685 0.404 0.563
0.802 0.571 0.912
0.802 0.929 0.412
0.908 0.085 0.804
0.908 0.415 0.304
```

Symmetry: No. 14
Energy above the most stable polymorph in this dataset, kcal/mol of atoms: 0.11



No. 3
This record from the Materials Project database describes an optimized crystal structure of Sr2CaWO6. The functional is GGA+U.

The structure in POSCAR format:
```
Sr2CaWO6
1.0
5.839 0.000 0.000
0.000 8.366 0.000
0.000 0.000 6.107
Sr Ca W O
4 2 2 12
Direct
0.250 0.018 0.204
0.250 0.482 0.204
0.750 0.518 0.796
0.750 0.982 0.796
0.250 0.250 0.725
0.750 0.750 0.275
0.250 0.750 0.765
0.750 0.250 0.235
0.005 0.750 0.555
0.017 0.750 0.002
0.250 0.517 0.782
0.250 0.983 0.782
0.483 0.750 0.002
0.495 0.750 0.555
0.505 0.250 0.445
0.517 0.250 0.998
0.750 0.017 0.218
0.750 0.483 0.218
0.983 0.250 0.998
0.995 0.250 0.445
```

Symmetry: No. 59
Magnetic moment, μB per cell: 0.00



No. 4
This record from the Materials Project database describes an optimized crystal structure of Hg2Mo2O7. The functional is GGA+U.

The structure in POSCAR format:
```
Hg2Mo2O7
1.0
6.161 -3.946 0.000
6.161 3.946 0.000
-4.120 0.000 14.356
Hg Mo O
8 8 28
Direct
0.114 0.758 0.937
0.242 0.886 0.563
0.261 0.574 0.434
0.426 0.739 0.066
0.574 0.261 0.934
0.739 0.426 0.566
0.758 0.114 0.437
0.886 0.242 0.063
0.130 0.174 0.810
0.174 0.130 0.310
0.326 0.357 0.684
0.357 0.326 0.184
0.643 0.674 0.816
0.674 0.643 0.316
0.826 0.870 0.690
0.870 0.826 0.190
0.053 0.947 0.750
0.082 0.563 0.673
0.106 0.626 0.223
0.119 0.174 0.925
0.142 0.223 0.171
0.174 0.119 0.425
0.223 0.142 0.671
0.301 0.333 0.830
0.308 0.394 0.074
0.333 0.301 0.330
0.374 0.894 0.277
0.394 0.308 0.574
0.437 0.918 0.827
0.477 0.523 0.750
0.523 0.477 0.250
0.563 0.082 0.173
0.606 0.692 0.426
0.626 0.106 0.723
0.667 0.699 0.670
0.692 0.606 0.926
0.699 0.667 0.170
0.777 0.858 0.329
0.826 0.881 0.575
0.858 0.777 0.829
0.881 0.826 0.075
0.894 0.374 0.777
0.918 0.437 0.327
0.947 0.053 0.250
```

Symmetry: No. 15
Magnetic moment, μB per cell: 0.00



No. 5
This record from the Materials Project database describes an optimized crystal structure of Sr2CrOsO6. The functional is GGA+U.

The structure in POSCAR format:
```
Sr2CrOsO6
1.0
0.000 3.961 3.961
3.961 0.000 3.961
3.961 3.961 0.000
Sr Cr Os O
2 1 1 6
Direct
0.250 0.250 0.250
0.750 0.750 0.750
0.000 0.000 0.000
0.500 0.500 0.500
0.251 0.251 0.749
0.251 0.749 0.251
0.251 0.749 0.749
0.749 0.251 0.251
0.749 0.251 0.749
0.749 0.749 0.251
```

Symmetry: No. 225
Magnetic moment, μB per cell: 0.01



No. 6
This record from the Materials Project database describes an optimized crystal structure of Li2NbFe3O8. The functional is GGA+U.

The structure in POSCAR format:
```
Li2NbFe3O8
1.0
6.007 0.000 0.000
-3.004 5.202 0.000
0.000 0.000 9.812
Li Nb Fe O
4 2 6 16
Direct
0.000 0.000 0.000
0.000 0.000 0.500
0.333 0.667 0.412
0.667 0.333 0.912
0.333 0.667 0.003
0.667 0.333 0.503
0.171 0.342 0.727
0.171 0.829 0.727
0.342 0.171 0.227
0.658 0.829 0.727
0.829 0.171 0.227
0.829 0.658 0.227
0.000 0.000 0.313
0.000 0.000 0.813
0.037 0.518 0.853
0.168 0.335 0.101
0.168 0.832 0.101
0.333 0.667 0.617
0.335 0.168 0.601
0.482 0.518 0.853
0.482 0.963 0.853
0.518 0.037 0.353
0.518 0.482 0.353
0.665 0.832 0.101
0.667 0.333 0.117
0.832 0.168 0.601
0.832 0.665 0.601
0.963 0.482 0.353
```

Symmetry: No. 186
Energy above the most stable polymorph in this dataset, kcal/mol of atoms: 0.00
Magnetic moment, μB per cell: 30.00



no.,E (eV per atom)
1,-9.1420
2,-5.1418
3,-6.9283
4,-5.7153
5,-7.2680
6,-6.9433